[1]
## Li2V2P3O12 (GGA+U)

Data for crystalline Li2V2P3O12 at its relaxed geometry.

abc: 8.7088 8.6010 12.0731
angles: 89.99 90.00 90.00
Closest atoms and distances in Å follow each position.
Sites, in units of the cell vectors:
1 V 0.0350 0.2538 0.1129  6 O 1.90-2.03
2 V 0.9640 0.2462 0.6129  6 O 1.89-2.02
3 V 0.9650 0.7462 0.8871  6 O 1.90-2.03
4 V 0.0360 0.7538 0.3871  6 O 1.89-2.02
5 V 0.4640 0.2538 0.8871  6 O 1.89-2.02
6 V 0.4650 0.7538 0.6129  6 O 1.90-2.03
7 V 0.5350 0.2462 0.3871  6 O 1.90-2.03
8 V 0.5360 0.7462 0.1129  6 O 1.89-2.02
9 O 0.3342 0.6491 0.0806  1 P 1.55
10 O 0.9883 0.6794 0.7277  1 P 1.56
11 O 0.8374 0.3604 0.0836  1 P 1.55
12 O 0.9863 0.1694 0.7694  1 P 1.56
13 O 0.4459 0.6618 0.4693  1 P 1.54
14 O 0.1658 0.1491 0.5806  1 P 1.55
15 O 0.5117 0.1794 0.2277  1 P 1.56
16 O 0.3589 0.9378 0.5714  1 P 1.54
17 O 0.4863 0.3306 0.7306  1 P 1.56
18 O 0.9415 0.3444 0.4717  1 P 1.54
19 O 0.1411 0.4378 0.0714  1 P 1.54
20 O 0.4008 0.9261 0.1574  1 P 1.55
21 O 0.0541 0.1618 0.9693  1 P 1.54
22 O 0.4883 0.8206 0.7723  1 P 1.56
23 O 0.8640 0.0621 0.5659  1 P 1.54
24 O 0.6065 0.5745 0.6517  1 P 1.55
25 O 0.5992 0.0739 0.8426  1 P 1.55
26 O 0.1065 0.9255 0.8483  1 P 1.55
27 O 0.0992 0.4261 0.6574  1 P 1.55
28 O 0.0117 0.3206 0.2723  1 P 1.56
29 O 0.0585 0.6556 0.5283  1 P 1.54
30 O 0.7676 0.3344 0.6751  1 P 1.55
31 O 0.6411 0.0622 0.4286  1 P 1.54
32 O 0.8589 0.5622 0.9286  1 P 1.54
33 O 0.2702 0.6592 0.6740  1 P 1.55
34 O 0.2324 0.6656 0.3249  1 P 1.55
35 O 0.9459 0.8382 0.0307  1 P 1.54
36 O 0.7298 0.3408 0.3260  1 P 1.55
37 O 0.9008 0.5739 0.3426  1 P 1.55
38 O 0.6626 0.8604 0.5836  1 P 1.55
39 O 0.7702 0.8408 0.8260  1 P 1.55
40 O 0.4415 0.1556 0.0283  1 P 1.54
41 O 0.7324 0.8344 0.1751  1 P 1.55
42 O 0.3374 0.1396 0.4164  1 P 1.55
43 O 0.5585 0.8444 0.9717  1 P 1.54
44 O 0.5541 0.3382 0.5307  1 P 1.54
45 O 0.8342 0.8509 0.4194  1 P 1.55
46 O 0.6360 0.5621 0.0659  1 P 1.54
47 O 0.5137 0.6694 0.2694  1 P 1.56
48 O 0.2676 0.1656 0.8249  1 P 1.55
49 O 0.1626 0.6396 0.9164  1 P 1.55
50 O 0.2298 0.1592 0.1740  1 P 1.55
51 O 0.6658 0.3509 0.9194  1 P 1.55
52 O 0.0137 0.8306 0.2306  1 P 1.56
53 O 0.3935 0.4255 0.3483  1 P 1.55
54 O 0.8935 0.0745 0.1517  1 P 1.55
55 O 0.3640 0.4379 0.9341  1 P 1.54
56 O 0.1360 0.9379 0.4341  1 P 1.54
57 P 0.6052 0.8947 0.8544  4 O 1.54-1.56
58 P 0.8948 0.3947 0.3544  4 O 1.54-1.56
59 P 0.8948 0.8946 0.1458  4 O 1.54-1.56
60 P 0.3948 0.1053 0.1456  4 O 1.54-1.56
61 P 0.1052 0.1054 0.8542  4 O 1.54-1.56
62 P 0.7498 0.4627 0.9992  4 O 1.54-1.55
63 P 0.2498 0.0373 0.5008  4 O 1.54-1.55
64 P 0.3948 0.6054 0.3542  4 O 1.54-1.56
65 P 0.7502 0.9627 0.4992  4 O 1.54-1.55
66 P 0.2502 0.5373 0.0008  4 O 1.54-1.55
67 P 0.1052 0.6053 0.6456  4 O 1.54-1.56
68 P 0.6052 0.3946 0.6458  4 O 1.54-1.56
69 Li 0.2772 0.2873 0.6841  4 O 1.94-2.00
70 Li 0.2228 0.7873 0.1841  4 O 1.94-2.00
71 Li 0.2779 0.7797 0.8160  4 O 1.94-2.00
72 Li 0.7772 0.2127 0.8159  4 O 1.94-2.00
73 Li 0.2221 0.2797 0.3160  4 O 1.94-2.00
74 Li 0.7221 0.2203 0.1840  4 O 1.94-2.00
75 Li 0.7779 0.7203 0.6840  4 O 1.94-2.00
76 Li 0.7228 0.7127 0.3159  4 O 1.94-2.00

Calculated values
E above lowest polymorph	0.0036	eV/atom
total energy	-137.1	eV per formula unit
crystal system	monoclinic
energy of formation	-2.692	eV per atom
ρ	2.9	Mg/m³

[2]
## Li2VP2O7 (GGA+U)

Data for crystalline Li2VP2O7 at its relaxed geometry.

abc: 7.4319 7.4319 11.6835
angles: 88.62 88.62 121.12
Closest atoms and distances in Å follow each position.
Sites, in units of the cell vectors:
1 Li 0.2995 0.7344 0.9935  4 O 1.88-2.02
2 Li 0.7344 0.2995 0.4935  4 O 1.88-2.02
3 Li 0.2763 0.7237 0.7500  4 O 1.89-2.01
4 Li 0.2880 0.7120 0.2500  4 O 2.01
5 Li 0.7237 0.2763 0.2500  4 O 1.89-2.01
6 Li 0.2656 0.7005 0.5065  4 O 1.88-2.02
7 Li 0.7120 0.2880 0.7500  4 O 2.01
8 Li 0.7005 0.2656 0.0065  4 O 1.88-2.02
9 O 0.9093 0.9318 0.6251  2 P 1.65
10 O 0.7330 0.5423 0.0494  1 P 1.57
11 O 0.8169 0.5821 0.2595  1 P 1.54
12 O 0.1831 0.4179 0.7405  1 P 1.54
13 O 0.7973 0.1589 0.1285  1 P 1.51
14 O 0.2968 0.8831 0.3830  1 P 1.50
15 O 0.5925 0.7980 0.2385  1 P 1.54
16 O 0.9318 0.9093 0.1251  2 P 1.65
17 O 0.8287 0.5984 0.5205  1 P 1.54
18 O 0.8831 0.2968 0.8830  1 P 1.50
19 O 0.4577 0.2670 0.4506  1 P 1.57
20 O 0.1169 0.7032 0.1170  1 P 1.50
21 O 0.0907 0.0682 0.3749  2 P 1.65
22 O 0.5984 0.8287 0.0205  1 P 1.54
23 O 0.4179 0.1831 0.2405  1 P 1.54
24 O 0.5821 0.8169 0.7595  1 P 1.54
25 O 0.4075 0.2020 0.7615  1 P 1.54
26 O 0.7032 0.1169 0.6170  1 P 1.50
27 O 0.5423 0.7330 0.5494  1 P 1.57
28 O 0.1589 0.7973 0.6285  1 P 1.51
29 O 0.2670 0.4577 0.9506  1 P 1.57
30 O 0.2027 0.8411 0.8715  1 P 1.51
31 O 0.2020 0.4075 0.2615  1 P 1.54
32 O 0.7980 0.5925 0.7385  1 P 1.54
33 O 0.8411 0.2027 0.3715  1 P 1.51
34 O 0.4016 0.1713 0.9795  1 P 1.54
35 O 0.1713 0.4016 0.4795  1 P 1.54
36 O 0.0682 0.0907 0.8749  2 P 1.65
37 V 0.3268 0.3348 0.6107  4 O 2.11-2.27
38 V 0.6732 0.6652 0.3893  4 O 2.11-2.27
39 V 0.6652 0.6732 0.8893  4 O 2.11-2.27
40 V 0.3348 0.3268 0.1107  4 O 2.11-2.27
41 P 0.6747 0.9030 0.6378  4 O 1.50-1.65
42 P 0.0732 0.2814 0.3704  4 O 1.51-1.65
43 P 0.3253 0.0970 0.3622  4 O 1.50-1.65
44 P 0.9030 0.6747 0.1378  4 O 1.50-1.65
45 P 0.9268 0.7186 0.6296  4 O 1.51-1.65
46 P 0.7186 0.9268 0.1296  4 O 1.51-1.65
47 P 0.0970 0.3253 0.8622  4 O 1.50-1.65
48 P 0.2814 0.0732 0.8704  4 O 1.51-1.65

Calculated values
E above lowest polymorph	0.0739	eV/atom
total energy	-83.0	eV per formula unit
crystal system	monoclinic
energy of formation	-2.599	eV per atom
ρ	2.9	Mg/m³

[3]
## Li3Mn2O5 (GGA+U)

Data for crystalline Li3Mn2O5 at its relaxed geometry.

abc: 2.9665 9.9246 6.4691
angles: 99.44 103.33 93.12
Closest atoms and distances in Å follow each position.
Sites, in units of the cell vectors:
1 Li 0.7156 0.0972 0.4183  5 O 2.08-2.20
2 Li 0.8998 0.7000 0.8000  4 O 2.07-2.14
3 Li 0.0843 0.3028 0.1818  5 O 2.08-2.20
4 Li 0.2809 0.9140 0.6105  4 O 1.99-2.12
5 Li 0.5190 0.4860 0.9895  4 O 1.99-2.12
6 Li 0.3999 0.2000 0.8000  6 O 2.07-2.17
7 Mn 0.5911 0.8037 0.2083  4 O 1.94-2.00
8 Mn 0.8199 0.3914 0.6033  5 O 1.82-2.03
9 Mn 0.2090 0.5963 0.3917  4 O 1.94-2.00
10 Mn 0.9802 0.0086 0.9965  5 O 1.82-2.03
11 O 0.8536 0.0447 0.7230  1 Mn 1.82, 2 Li 1.99-2.03
12 O 0.7040 0.4509 0.3110  2 Mn 1.94-2.03, 2 Li 2.08-2.12
13 O 0.0960 0.9491 0.2889  2 Mn 1.94-2.03, 2 Li 2.09-2.12
14 O 0.9464 0.3552 0.8769  1 Mn 1.82, 2 Li 1.99-2.03
15 O 0.2517 0.2688 0.5080  2 Mn 1.94-1.95, 2 Li 2.07-2.14
16 O 0.5485 0.1312 0.0920  2 Mn 1.94-1.95, 2 Li 2.07-2.14
17 O 0.4278 0.8684 0.9253  3 Mn 2.00-2.05, 2 Li 2.11-2.14
18 O 0.3723 0.5316 0.6747  3 Mn 2.00-2.05, 2 Li 2.11-2.14
19 O 0.0875 0.6576 0.1091  2 Mn 1.94-1.98, 1 Li 2.07
20 O 0.7124 0.7423 0.4909  2 Mn 1.94-1.98, 1 Li 2.07

Calculated values
E above lowest polymorph	0.0322	eV/atom
total energy	-63.2	eV per formula unit
crystal system	triclinic
energy of formation	-2.118	eV per atom
ρ	3.8	Mg/m³

[4]
## SrEuHfMnO6 (GGA+U)

Data for crystalline SrEuHfMnO6 at its relaxed geometry.

abc: 5.7033 5.7033 5.7033
angles: 60.00 60.00 60.00
Closest atoms and distances in Å follow each position.
Sites, in units of the cell vectors:
1 O 0.2565 0.2565 0.7435  1 Mn 1.96, 1 Hf 2.07
2 O 0.7435 0.2565 0.2565  1 Mn 1.96, 1 Hf 2.07
3 O 0.7435 0.2565 0.7435  1 Mn 1.96, 1 Hf 2.07
4 O 0.2565 0.7435 0.7435  1 Mn 1.96, 1 Hf 2.07
5 O 0.2565 0.7435 0.2565  1 Mn 1.96, 1 Hf 2.07
6 O 0.7435 0.7435 0.2565  1 Mn 1.96, 1 Hf 2.07
7 Eu 0.7500 0.7500 0.7500  12 O 2.85
8 Sr 0.2500 0.2500 0.2500  12 O 2.85
9 Mn 0.5000 0.5000 0.5000  6 O 1.96
10 Hf 0.0000 0.0000 0.0000  6 O 2.07

Calculated values
total energy	-86.4	eV per formula unit
crystal system	cubic
energy of formation	-3.147	eV per atom
ρ	7.2	Mg/m³

- What is the formula in the third record?
  Li3Mn2O5

- Which of these has the highest total energy?
  Li3Mn2O5

- The highest total energy belongs to which entry?
  Li3Mn2O5

What did the fourth record say?
## SrEuHfMnO6 (GGA+U)

Data for crystalline SrEuHfMnO6 at its relaxed geometry.

abc: 5.7033 5.7033 5.7033
angles: 60.00 60.00 60.00
Closest atoms and distances in Å follow each position.
Sites, in units of the cell vectors:
1 O 0.2565 0.2565 0.7435  1 Mn 1.96, 1 Hf 2.07
2 O 0.7435 0.2565 0.2565  1 Mn 1.96, 1 Hf 2.07
3 O 0.7435 0.2565 0.7435  1 Mn 1.96, 1 Hf 2.07
4 O 0.2565 0.7435 0.7435  1 Mn 1.96, 1 Hf 2.07
5 O 0.2565 0.7435 0.2565  1 Mn 1.96, 1 Hf 2.07
6 O 0.7435 0.7435 0.2565  1 Mn 1.96, 1 Hf 2.07
7 Eu 0.7500 0.7500 0.7500  12 O 2.85
8 Sr 0.2500 0.2500 0.2500  12 O 2.85
9 Mn 0.5000 0.5000 0.5000  6 O 1.96
10 Hf 0.0000 0.0000 0.0000  6 O 2.07

Calculated values
total energy	-86.4	eV per formula unit
crystal system	cubic
energy of formation	-3.147	eV per atom
ρ	7.2	Mg/m³